# 1
Density functional theory data (PBE+U) for a relaxed V2Cu2O7 crystal.

Cell: 5.552 5.552 10.140 Å, 102.97 102.97 95.50°
Element x y z (fractional)
V 0.002 0.498 0.205
V 0.498 0.002 0.705
V 0.502 0.998 0.295
V 0.998 0.502 0.795
Cu 0.197 0.339 0.505
Cu 0.339 0.197 0.005
Cu 0.661 0.803 0.995
Cu 0.803 0.661 0.495
O 0.044 0.551 0.634
O 0.101 0.248 0.115
O 0.244 0.756 0.250
O 0.248 0.101 0.615
O 0.258 0.436 0.898
O 0.436 0.258 0.398
O 0.449 0.956 0.866
O 0.551 0.044 0.134
O 0.564 0.742 0.602
O 0.742 0.564 0.102
O 0.752 0.899 0.385
O 0.756 0.244 0.750
O 0.899 0.752 0.885
O 0.956 0.449 0.366

Summary:
Energy above the most stable polymorph in this dataset = 0.21 eV/f.u.
Magnetization = 2.0 μB per formula unit
Energy relative to the elements = -1790.8 meV/atom
Energy with MP2020 corrections = -161.4 eV per cell



# 2
Density functional theory data (PBE+U) for a relaxed La2MnZnO6 crystal.

Cell: 5.519 9.679 9.678 Å, 79.58 88.76 74.07°
Element x y z (fractional)
La 0.314 0.375 0.437
La 0.564 0.875 0.187
La 0.814 0.375 0.937
La 0.064 0.875 0.687
La 0.436 0.125 0.813
La 0.686 0.625 0.563
La 0.936 0.125 0.313
La 0.186 0.625 0.063
Mn 0.500 0.000 0.500
Mn 0.750 0.500 0.250
Mn 0.000 0.000 0.000
Mn 0.250 0.500 0.750
Zn 0.875 0.250 0.625
Zn 0.125 0.750 0.375
Zn 0.375 0.250 0.125
Zn 0.625 0.750 0.875
O 0.736 0.084 0.576
O 0.986 0.584 0.326
O 0.236 0.084 0.076
O 0.486 0.584 0.826
O 0.927 0.156 0.838
O 0.177 0.656 0.588
O 0.427 0.156 0.338
O 0.677 0.656 0.088
O 0.515 0.382 0.653
O 0.765 0.882 0.403
O 0.015 0.382 0.153
O 0.265 0.882 0.903
O 0.013 0.416 0.674
O 0.264 0.916 0.424
O 0.513 0.416 0.174
O 0.764 0.916 0.924
O 0.235 0.118 0.597
O 0.485 0.618 0.347
O 0.735 0.118 0.097
O 0.985 0.618 0.847
O 0.823 0.344 0.412
O 0.073 0.844 0.162
O 0.323 0.344 0.912
O 0.573 0.844 0.662

Summary:
Magnetization = 0.0 μB per formula unit
Energy relative to the elements = -2900.6 meV/atom
Energy with MP2020 corrections = -316.0 eV per cell



# 3
Density functional theory data (PBE+U) for a relaxed Rb2MgCr2O14 crystal.

Cell: 6.596 14.160 8.009 Å, 90.00 101.18 90.00°
Element x y z (fractional)
Rb 0.159 0.159 0.364
Rb 0.159 0.341 0.864
Rb 0.841 0.659 0.136
Rb 0.841 0.841 0.636
Mg 0.500 0.000 0.000
Mg 0.500 0.500 0.500
Cr 0.249 0.639 0.894
Cr 0.249 0.861 0.394
Cr 0.751 0.139 0.606
Cr 0.751 0.361 0.106
O 0.075 0.722 0.890
O 0.075 0.778 0.390
O 0.159 0.561 0.702
O 0.159 0.939 0.202
O 0.257 0.571 0.061
O 0.257 0.929 0.561
O 0.259 0.564 0.570
O 0.259 0.936 0.070
O 0.327 0.134 0.928
O 0.327 0.366 0.428
O 0.377 0.119 0.093
O 0.377 0.381 0.593
O 0.475 0.681 0.881
O 0.475 0.819 0.381
O 0.525 0.181 0.619
O 0.525 0.319 0.119
O 0.623 0.619 0.407
O 0.623 0.881 0.907
O 0.673 0.634 0.572
O 0.673 0.866 0.072
O 0.741 0.064 0.930
O 0.741 0.436 0.430
O 0.743 0.071 0.439
O 0.743 0.429 0.939
O 0.841 0.061 0.798
O 0.841 0.439 0.298
O 0.925 0.222 0.610
O 0.925 0.278 0.110

Summary:
Magnetization = 4.0 μB per formula unit
Energy relative to the elements = -1011.4 meV/atom
Energy with MP2020 corrections = -222.7 eV per cell



# 4
Density functional theory data (PBE+U) for a relaxed K2MoO8 crystal.

Cell: 11.130 11.130 11.130 Å, 64.40 64.40 64.40°
Element x y z (fractional)
K 0.000 0.000 0.000
K 0.105 0.750 0.395
K 0.166 0.166 0.166
K 0.250 0.605 0.895
K 0.334 0.334 0.334
K 0.395 0.105 0.750
K 0.500 0.500 0.500
K 0.605 0.895 0.250
K 0.666 0.666 0.666
K 0.750 0.395 0.105
K 0.834 0.834 0.834
K 0.895 0.250 0.605
Mo 0.068 0.432 0.750
Mo 0.250 0.932 0.568
Mo 0.432 0.750 0.068
Mo 0.568 0.250 0.932
Mo 0.750 0.068 0.432
Mo 0.932 0.568 0.250
O 0.035 0.565 0.845
O 0.036 0.636 0.697
O 0.065 0.535 0.345
O 0.071 0.924 0.723
O 0.076 0.277 0.929
O 0.102 0.225 0.815
O 0.136 0.536 0.197
O 0.155 0.965 0.435
O 0.185 0.898 0.775
O 0.197 0.136 0.536
O 0.223 0.424 0.571
O 0.225 0.815 0.102
O 0.275 0.398 0.685
O 0.277 0.929 0.076
O 0.303 0.964 0.364
O 0.315 0.725 0.602
O 0.345 0.065 0.535
O 0.364 0.303 0.964
O 0.398 0.685 0.275
O 0.424 0.571 0.223
O 0.429 0.777 0.576
O 0.435 0.155 0.965
O 0.464 0.803 0.864
O 0.465 0.655 0.935
O 0.535 0.345 0.065
O 0.536 0.197 0.136
O 0.565 0.845 0.035
O 0.571 0.223 0.424
O 0.576 0.429 0.777
O 0.602 0.315 0.725
O 0.636 0.697 0.036
O 0.655 0.935 0.465
O 0.685 0.275 0.398
O 0.697 0.036 0.636
O 0.723 0.071 0.924
O 0.725 0.602 0.315
O 0.775 0.185 0.898
O 0.777 0.576 0.429
O 0.803 0.864 0.464
O 0.815 0.102 0.225
O 0.845 0.035 0.565
O 0.864 0.464 0.803
O 0.898 0.775 0.185
O 0.924 0.723 0.071
O 0.929 0.076 0.277
O 0.935 0.465 0.655
O 0.964 0.364 0.303
O 0.965 0.435 0.155

Summary:
Magnetization = 0.0 μB per formula unit
Energy relative to the elements = -1040.9 meV/atom
Energy with MP2020 corrections = -384.6 eV per cell



# 5
Density functional theory data (PBE+U) for a relaxed Li4Co3O7 crystal.

Cell: 5.101 5.149 10.015 Å, 99.29 101.61 99.61°
Element x y z (fractional)
Li 0.000 0.000 0.000
Li 0.000 0.000 0.500
Li 0.150 0.287 0.285
Li 0.283 0.583 0.570
Li 0.431 0.866 0.859
Li 0.569 0.134 0.141
Li 0.717 0.417 0.430
Li 0.850 0.713 0.715
Co 0.141 0.279 0.777
Co 0.285 0.574 0.069
Co 0.435 0.863 0.361
Co 0.565 0.137 0.639
Co 0.715 0.426 0.931
Co 0.859 0.721 0.223
O 0.079 0.638 0.901
O 0.088 0.655 0.382
O 0.221 0.917 0.192
O 0.249 0.954 0.677
O 0.351 0.231 0.960
O 0.380 0.187 0.469
O 0.495 0.535 0.254
O 0.505 0.465 0.746
O 0.620 0.813 0.531
O 0.649 0.769 0.040
O 0.751 0.046 0.323
O 0.779 0.083 0.808
O 0.912 0.345 0.618
O 0.921 0.362 0.099

Summary:
Energy above the most stable polymorph in this dataset = 0.15 eV/f.u.
Magnetization = 1.0 μB per formula unit
Energy relative to the elements = -1700.3 meV/atom
Energy with MP2020 corrections = -174.8 eV per cell



# 6
Density functional theory data (PBE+U) for a relaxed MgMn6O10F2 crystal.

Cell: 5.137 5.787 7.495 Å, 81.23 84.23 80.26°
Element x y z (fractional)
Mg 0.000 0.000 0.000
Mn 0.042 0.037 0.501
Mn 0.056 0.412 0.198
Mn 0.472 0.504 0.491
Mn 0.500 0.855 0.155
Mn 0.507 0.168 0.813
Mn 0.880 0.636 0.786
O 0.152 0.701 0.575
O 0.166 0.054 0.240
O 0.345 0.217 0.585
O 0.358 0.567 0.248
O 0.376 0.879 0.924
O 0.603 0.465 0.726
O 0.627 0.143 0.052
O 0.829 0.338 0.410
O 0.845 0.000 0.742
O 0.849 0.687 0.070
F 0.129 0.327 0.919
F 0.623 0.810 0.400

Summary:
Energy above the most stable polymorph in this dataset = 0.80 eV/f.u.
Magnetization = 22.0 μB per formula unit
Energy relative to the elements = -2089.0 meV/atom
Energy with MP2020 corrections = -149.6 eV per cell



# 7
Density functional theory data (PBE+U) for a relaxed Li9Mn7O16 crystal.

Cell: 5.107 7.688 8.127 Å, 100.14 99.55 103.26°
Element x y z (fractional)
Li 0.000 0.000 0.000
Li 0.000 0.125 0.371
Li 0.000 0.500 0.500
Li 0.000 0.875 0.629
Li 0.004 0.384 0.115
Li 0.011 0.257 0.759
Li 0.500 0.500 0.000
Li 0.989 0.743 0.241
Li 0.996 0.616 0.885
Mn 0.490 0.870 0.121
Mn 0.497 0.250 0.244
Mn 0.498 0.623 0.368
Mn 0.500 0.000 0.500
Mn 0.502 0.377 0.632
Mn 0.503 0.750 0.756
Mn 0.510 0.130 0.879
O 0.255 0.642 0.128
O 0.265 0.131 0.614
O 0.265 0.507 0.739
O 0.266 0.008 0.243
O 0.269 0.880 0.860
O 0.270 0.379 0.361
O 0.290 0.243 0.020
O 0.292 0.755 0.519
O 0.708 0.245 0.481
O 0.710 0.757 0.980
O 0.730 0.621 0.639
O 0.731 0.120 0.140
O 0.734 0.992 0.757
O 0.735 0.493 0.261
O 0.735 0.869 0.386
O 0.745 0.358 0.872

Summary:
Energy above the most stable polymorph in this dataset = 0.20 eV/f.u.
Magnetization = 26.0 μB per formula unit
Energy relative to the elements = -2138.2 meV/atom
Energy with MP2020 corrections = -228.9 eV per cell



# 8
Density functional theory data (PBE+U) for a relaxed Na3LiFe4Si8O24 crystal.

Cell: 5.364 8.865 9.596 Å, 90.00 103.89 90.00°
Element x y z (fractional)
Na 0.000 0.000 0.000
Na 0.000 0.093 0.500
Na 0.500 0.500 0.500
Li 0.500 0.579 0.000
Fe 0.000 0.400 0.000
Fe 0.000 0.697 0.500
Fe 0.500 0.197 0.000
Fe 0.500 0.897 0.500
Si 0.199 0.388 0.710
Si 0.202 0.707 0.207
Si 0.301 0.885 0.792
Si 0.302 0.208 0.290
Si 0.698 0.208 0.710
Si 0.699 0.885 0.208
Si 0.798 0.707 0.793
Si 0.801 0.388 0.290
O 0.079 0.791 0.852
O 0.081 0.303 0.350
O 0.192 0.553 0.639
O 0.204 0.542 0.135
O 0.225 0.218 0.114
O 0.226 0.875 0.615
O 0.275 0.718 0.384
O 0.280 0.383 0.887
O 0.308 0.041 0.360
O 0.308 0.052 0.860
O 0.417 0.292 0.648
O 0.421 0.799 0.145
O 0.579 0.799 0.855
O 0.583 0.292 0.352
O 0.692 0.041 0.640
O 0.692 0.052 0.140
O 0.720 0.383 0.113
O 0.725 0.718 0.616
O 0.774 0.875 0.385
O 0.775 0.218 0.886
O 0.796 0.542 0.865
O 0.808 0.553 0.361
O 0.919 0.303 0.650
O 0.921 0.791 0.148

Summary:
Magnetization = 20.0 μB per formula unit
Energy relative to the elements = -2733.0 meV/atom
Energy with MP2020 corrections = -311.2 eV per cell